Record 1
Density functional theory data (PBE) for crystalline SiO2 at its relaxed geometry.

Summary:
SG   Pm-3m, No. 221
Electronic total energy   -568.9 eV/cell
E_form   -3252 meV/atom

Lattice parameters (Å, degrees): 11.993 11.993 11.993 90.00 90.00 90.00
Sites, in units of the cell vectors:
Si: 0.000 0.183 0.368
Si: 0.000 0.183 0.632
Si: 0.000 0.368 0.183
Si: 0.000 0.368 0.817
Si: 0.000 0.632 0.183
Si: 0.000 0.632 0.817
Si: 0.000 0.817 0.368
Si: 0.000 0.817 0.632
Si: 0.183 0.000 0.368
Si: 0.183 0.000 0.632
Si: 0.183 0.368 0.000
Si: 0.183 0.632 0.000
Si: 0.368 0.000 0.183
Si: 0.368 0.000 0.817
Si: 0.368 0.183 0.000
Si: 0.368 0.817 0.000
Si: 0.632 0.000 0.183
Si: 0.632 0.000 0.817
Si: 0.632 0.183 0.000
Si: 0.632 0.817 0.000
Si: 0.817 0.000 0.368
Si: 0.817 0.000 0.632
Si: 0.817 0.368 0.000
Si: 0.817 0.632 0.000
O: 0.000 0.215 0.500
O: 0.000 0.298 0.298
O: 0.000 0.298 0.702
O: 0.000 0.500 0.215
O: 0.000 0.500 0.785
O: 0.000 0.702 0.298
O: 0.000 0.702 0.702
O: 0.000 0.785 0.500
O: 0.111 0.111 0.338
O: 0.111 0.111 0.662
O: 0.111 0.338 0.111
O: 0.111 0.338 0.889
O: 0.111 0.662 0.111
O: 0.111 0.662 0.889
O: 0.111 0.889 0.338
O: 0.111 0.889 0.662
O: 0.215 0.000 0.500
O: 0.215 0.500 0.000
O: 0.298 0.000 0.298
O: 0.298 0.000 0.702
O: 0.298 0.298 0.000
O: 0.298 0.702 0.000
O: 0.338 0.111 0.111
O: 0.338 0.111 0.889
O: 0.338 0.889 0.111
O: 0.338 0.889 0.889
O: 0.500 0.000 0.215
O: 0.500 0.000 0.785
O: 0.500 0.215 0.000
O: 0.500 0.785 0.000
O: 0.662 0.111 0.111
O: 0.662 0.111 0.889
O: 0.662 0.889 0.111
O: 0.662 0.889 0.889
O: 0.702 0.000 0.298
O: 0.702 0.000 0.702
O: 0.702 0.298 0.000
O: 0.702 0.702 0.000
O: 0.785 0.000 0.500
O: 0.785 0.500 0.000
O: 0.889 0.111 0.338
O: 0.889 0.111 0.662
O: 0.889 0.338 0.111
O: 0.889 0.338 0.889
O: 0.889 0.662 0.111
O: 0.889 0.662 0.889
O: 0.889 0.889 0.338
O: 0.889 0.889 0.662

***

Record 2
Density functional theory data (PBE) for crystalline K2PO4 at its relaxed geometry.

Summary:
SG   P2_1/c, No. 14
Electronic total energy   -167.7 eV/cell
E_form   -2335 meV/atom

Lattice parameters (Å, degrees): 5.977 10.384 7.491 90.00 99.12 90.00
Sites, in units of the cell vectors:
K: 0.237 0.231 0.474
K: 0.237 0.269 0.974
K: 0.252 0.584 0.328
K: 0.252 0.916 0.828
K: 0.748 0.084 0.172
K: 0.748 0.416 0.672
K: 0.763 0.731 0.026
K: 0.763 0.769 0.526
P: 0.279 0.575 0.780
P: 0.279 0.925 0.280
P: 0.721 0.075 0.720
P: 0.721 0.425 0.220
O: 0.073 0.651 0.819
O: 0.073 0.849 0.319
O: 0.225 0.053 0.181
O: 0.225 0.447 0.681
O: 0.390 0.538 0.998
O: 0.390 0.962 0.498
O: 0.458 0.654 0.705
O: 0.458 0.846 0.205
O: 0.542 0.154 0.795
O: 0.542 0.346 0.295
O: 0.610 0.038 0.502
O: 0.610 0.462 0.002
O: 0.775 0.553 0.319
O: 0.775 0.947 0.819
O: 0.927 0.151 0.681
O: 0.927 0.349 0.181

***

Record 3
Density functional theory data (PBE) for crystalline Re2H6PbCN2O10 at its relaxed geometry.

Summary:
Polymorph energy (0 for the lowest one)   0 meV/atom
SG   P2_1/c, No. 14
Electronic total energy   -597.6 eV/cell
E_form   -1451 meV/atom

Lattice parameters (Å, degrees): 10.531 7.474 14.706 90.00 100.34 90.00
Sites, in units of the cell vectors:
Re: 0.015 0.247 0.087
Re: 0.015 0.253 0.587
Re: 0.456 0.154 0.651
Re: 0.456 0.346 0.151
Re: 0.544 0.654 0.849
Re: 0.544 0.846 0.349
Re: 0.985 0.747 0.413
Re: 0.985 0.753 0.913
H: 0.144 0.609 0.677
H: 0.144 0.891 0.177
H: 0.152 0.686 0.150
H: 0.152 0.814 0.650
H: 0.163 0.106 0.768
H: 0.163 0.394 0.268
H: 0.187 0.102 0.316
H: 0.187 0.398 0.816
H: 0.262 0.561 0.326
H: 0.262 0.939 0.826
H: 0.299 0.042 0.414
H: 0.299 0.458 0.914
H: 0.701 0.542 0.086
H: 0.701 0.958 0.586
H: 0.738 0.061 0.174
H: 0.738 0.439 0.674
H: 0.813 0.602 0.184
H: 0.813 0.898 0.684
H: 0.837 0.606 0.732
H: 0.837 0.894 0.232
H: 0.848 0.186 0.350
H: 0.848 0.314 0.850
H: 0.856 0.109 0.823
H: 0.856 0.391 0.323
Pb: 0.358 0.627 0.560
Pb: 0.358 0.873 0.060
Pb: 0.642 0.127 0.940
Pb: 0.642 0.373 0.440
C: 0.297 0.191 0.880
C: 0.297 0.309 0.380
C: 0.703 0.691 0.620
C: 0.703 0.809 0.120
N: 0.236 0.070 0.820
N: 0.236 0.430 0.320
N: 0.262 0.136 0.367
N: 0.262 0.364 0.867
N: 0.738 0.636 0.133
N: 0.738 0.864 0.633
N: 0.764 0.570 0.680
N: 0.764 0.930 0.180
O: 0.050 0.115 0.188
O: 0.050 0.385 0.688
O: 0.072 0.035 0.613
O: 0.072 0.465 0.113
O: 0.089 0.155 0.001
O: 0.089 0.345 0.501
O: 0.154 0.744 0.951
O: 0.154 0.756 0.451
O: 0.205 0.709 0.675
O: 0.205 0.791 0.175
O: 0.331 0.189 0.145
O: 0.331 0.311 0.645
O: 0.389 0.145 0.946
O: 0.389 0.355 0.446
O: 0.398 0.538 0.087
O: 0.398 0.962 0.587
O: 0.414 0.745 0.893
O: 0.414 0.755 0.393
O: 0.491 0.598 0.733
O: 0.491 0.902 0.233
O: 0.509 0.098 0.767
O: 0.509 0.402 0.267
O: 0.586 0.245 0.607
O: 0.586 0.255 0.107
O: 0.602 0.038 0.413
O: 0.602 0.462 0.913
O: 0.611 0.645 0.554
O: 0.611 0.855 0.054
O: 0.669 0.689 0.355
O: 0.669 0.811 0.855
O: 0.795 0.209 0.825
O: 0.795 0.291 0.325
O: 0.846 0.244 0.549
O: 0.846 0.256 0.049
O: 0.911 0.655 0.499
O: 0.911 0.845 0.999
O: 0.928 0.535 0.887
O: 0.928 0.965 0.387
O: 0.950 0.615 0.312
O: 0.950 0.885 0.812